Entry from Materials Project: an optimized crystal structure of Ce2HfCo16 (GGA-PBE).

Summary:
The energy of formation from the pure elements is -0.12 eV per atom.

abc: 8.327 8.327 8.240
angles: 90.00 90.00 120.00
Positions (direct):
Ce1 0.000 0.000 0.249
Ce2 0.000 0.000 0.751
Ce3 0.333 0.667 0.266
Ce4 0.667 0.333 0.734
Hf1 0.333 0.667 0.881
Hf2 0.667 0.333 0.119
Co1 0.000 0.500 0.000
Co2 0.000 0.500 0.500
Co3 0.033 0.360 0.749
Co4 0.033 0.673 0.749
Co5 0.164 0.328 0.022
Co6 0.164 0.836 0.022
Co7 0.167 0.333 0.488
Co8 0.167 0.833 0.488
Co9 0.327 0.360 0.749
Co10 0.327 0.967 0.749
Co11 0.328 0.164 0.978
Co12 0.333 0.167 0.512
Co13 0.333 0.667 0.589
Co14 0.360 0.033 0.251
Co15 0.360 0.327 0.251
Co16 0.500 0.000 0.000
Co17 0.500 0.000 0.500
Co18 0.500 0.500 0.000
Co19 0.500 0.500 0.500
Co20 0.640 0.673 0.749
Co21 0.640 0.967 0.749
Co22 0.667 0.333 0.411
Co23 0.667 0.833 0.488
Co24 0.672 0.836 0.022
Co25 0.673 0.033 0.251
Co26 0.673 0.640 0.251
Co27 0.833 0.167 0.512
Co28 0.833 0.667 0.512
Co29 0.836 0.164 0.978
Co30 0.836 0.672 0.978
Co31 0.967 0.327 0.251
Co32 0.967 0.640 0.251



Entry from Materials Project: an optimized crystal structure of Na3IrN2 (GGA-PBE).

Summary:
The energy of formation from the pure elements is -0.13 eV per atom.

abc: 7.731 7.031 11.054
angles: 90.00 131.28 90.00
Positions (direct):
Na1 0.142 0.010 0.445
Na2 0.142 0.490 0.945
Na3 0.195 0.018 0.958
Na4 0.195 0.482 0.458
Na5 0.335 0.730 0.741
Na6 0.335 0.770 0.241
Na7 0.665 0.230 0.759
Na8 0.665 0.270 0.259
Na9 0.805 0.518 0.542
Na10 0.805 0.982 0.042
Na11 0.858 0.510 0.055
Na12 0.858 0.990 0.555
Ir1 0.262 0.202 0.252
Ir2 0.262 0.298 0.752
Ir3 0.738 0.702 0.248
Ir4 0.738 0.798 0.748
N1 0.039 0.248 0.541
N2 0.039 0.252 0.041
N3 0.460 0.066 0.451
N4 0.460 0.434 0.951
N5 0.540 0.566 0.049
N6 0.540 0.934 0.549
N7 0.961 0.748 0.959
N8 0.961 0.752 0.459



Entry from Materials Project: an optimized crystal structure of NaH6C2S2N3O2 (GGA-PBE).

Summary:
The energy of formation from the pure elements is -0.61 eV per atom.

abc: 8.980 20.121 8.738
angles: 90.00 91.47 90.00
Positions (direct):
Na1 0.018 0.007 0.292
Na2 0.018 0.493 0.792
Na3 0.284 0.503 0.527
Na4 0.284 0.997 0.027
Na5 0.716 0.003 0.973
Na6 0.716 0.497 0.473
Na7 0.982 0.507 0.208
Na8 0.982 0.993 0.708
H1 0.079 0.609 0.962
H2 0.079 0.891 0.462
H3 0.094 0.107 0.539
H4 0.094 0.393 0.039
H5 0.202 0.647 0.303
H6 0.202 0.853 0.803
H7 0.231 0.731 0.253
H8 0.231 0.769 0.753
H9 0.254 0.215 0.186
H10 0.254 0.285 0.686
H11 0.261 0.134 0.256
H12 0.261 0.366 0.756
H13 0.270 0.049 0.719
H14 0.270 0.451 0.219
H15 0.304 0.546 0.823
H16 0.304 0.954 0.323
H17 0.311 0.528 0.208
H18 0.311 0.972 0.708
H19 0.354 0.027 0.376
H20 0.354 0.473 0.876
H21 0.484 0.107 0.907
H22 0.484 0.393 0.407
H23 0.494 0.105 0.085
H24 0.494 0.395 0.585
H25 0.506 0.605 0.415
H26 0.506 0.895 0.915
H27 0.516 0.607 0.593
H28 0.516 0.893 0.093
H29 0.646 0.527 0.124
H30 0.646 0.973 0.624
H31 0.689 0.028 0.292
H32 0.689 0.472 0.792
H33 0.696 0.046 0.677
H34 0.696 0.454 0.177
H35 0.730 0.549 0.781
H36 0.730 0.951 0.281
H37 0.739 0.634 0.244
H38 0.739 0.866 0.744
H39 0.746 0.715 0.314
H40 0.746 0.785 0.814
H41 0.769 0.231 0.247
H42 0.769 0.269 0.747
H43 0.798 0.147 0.197
H44 0.798 0.353 0.697
H45 0.906 0.607 0.961
H46 0.906 0.893 0.461
H47 0.921 0.109 0.538
H48 0.921 0.391 0.038
C1 0.092 0.641 0.609
C2 0.092 0.859 0.109
C3 0.114 0.149 0.077
C4 0.114 0.351 0.577
C5 0.368 0.662 0.152
C6 0.368 0.838 0.652
C7 0.425 0.148 0.521
C8 0.425 0.352 0.021
C9 0.575 0.648 0.979
C10 0.575 0.852 0.479
C11 0.632 0.162 0.348
C12 0.632 0.338 0.848
C13 0.886 0.649 0.423
C14 0.886 0.851 0.923
C15 0.908 0.141 0.891
C16 0.908 0.359 0.391
S1 0.025 0.206 0.958
S2 0.025 0.294 0.458
S3 0.228 0.655 0.747
S4 0.228 0.845 0.247
S5 0.288 0.158 0.652
S6 0.288 0.342 0.152
S7 0.467 0.717 0.039
S8 0.467 0.783 0.539
S9 0.533 0.217 0.461
S10 0.533 0.283 0.961
S11 0.712 0.658 0.848
S12 0.712 0.842 0.348
S13 0.772 0.155 0.753
S14 0.772 0.345 0.253
S15 0.975 0.706 0.542
S16 0.975 0.794 0.042
N1 0.058 0.088 0.066
N2 0.058 0.412 0.566
N3 0.059 0.584 0.541
N4 0.059 0.916 0.041
N5 0.234 0.166 0.169
N6 0.234 0.334 0.669
N7 0.250 0.681 0.234
N8 0.250 0.819 0.734
N9 0.417 0.600 0.145
N10 0.417 0.900 0.645
N11 0.466 0.092 0.453
N12 0.466 0.408 0.953
N13 0.534 0.592 0.047
N14 0.534 0.908 0.547
N15 0.583 0.100 0.355
N16 0.583 0.400 0.855
N17 0.750 0.181 0.266
N18 0.750 0.319 0.766
N19 0.766 0.666 0.331
N20 0.766 0.834 0.831
N21 0.941 0.084 0.959
N22 0.941 0.416 0.459
N23 0.942 0.588 0.434
N24 0.942 0.912 0.934
O1 0.004 0.082 0.505
O2 0.004 0.418 0.005
O3 0.243 0.004 0.757
O4 0.243 0.496 0.257
O5 0.286 0.001 0.304
O6 0.286 0.499 0.804
O7 0.494 0.077 0.994
O8 0.494 0.423 0.494
O9 0.506 0.577 0.506
O10 0.506 0.923 0.006
O11 0.714 0.501 0.196
O12 0.714 0.999 0.696
O13 0.757 0.504 0.743
O14 0.757 0.996 0.243
O15 0.996 0.582 0.995
O16 0.996 0.918 0.495



Entry from Materials Project: an optimized crystal structure of NdInNi2 (GGA-PBE).

Summary:
The energy of formation from the pure elements is -0.41 eV per atom.

abc: 5.175 4.081 7.154
angles: 90.00 90.00 90.00
Positions (direct):
Nd1 0.250 0.000 0.223
Nd2 0.750 0.000 0.777
In1 0.250 0.500 0.844
In2 0.750 0.500 0.156
Ni1 0.000 0.500 0.500
Ni2 0.250 0.000 0.606
Ni3 0.500 0.500 0.500
Ni4 0.750 0.000 0.394



Across the entries above, theoretical density takes the values 9.407; 4.254; 1.609; 8.275 Mg/m³, respectively.